1.
Material: Hf3TaFe8
Method: DFT, r2SCAN
State: relaxed

Cell: 4.9435 4.9435 8.0626 Å, 90.00 90.00 120.00°
Space group P3m1 (No. 156)
Unique sites:
Hf1 0.0000 0.0000 0.0000 x1
Hf2 0.0000 0.0000 0.3797 x1
Hf3 0.3333 0.6667 0.8740 x1
Ta1 0.3333 0.6667 0.4989 x1
Fe1 0.0027 0.5013 0.1908 x3
Fe2 0.3307 0.1654 0.6866 x3
Fe3 0.6667 0.3333 0.4390 x1
Fe4 0.6667 0.3333 0.9387 x1

Calculated values
E_tot: -301.74 eV/cell
Formation energy from the elements: -19 kJ per mole of atoms



2.
Material: HfZrFe2
Method: DFT, r2SCAN
State: relaxed

Cell: 6.270 6.270 6.270 Å, 90.00 90.00 90.00°
Space group Fm-3m (No. 225)
Unique sites:
Hf1 0.000 0.000 0.000 x4
Zr1 0.000 0.000 0.500 x4
Fe1 0.250 0.250 0.250 x8

Calculated values
E_tot: -388.02 eV/cell
Formation energy from the elements: -7 kJ per mole of atoms



3.
Material: HoFe5
Method: DFT, r2SCAN
State: relaxed

Cell: 5.1124 5.1124 3.9217 Å, 90.00 90.00 120.00°
Space group P6/mmm (No. 191)
Unique sites:
Ho1 0.0000 0.0000 0.0000 x1
Fe1 0.0000 0.5000 0.5000 x3
Fe2 0.3333 0.6667 0.0000 x2

Calculated values
E_tot: -104.97 eV/cell
Formation energy from the elements: 0 kJ per mole of atoms



4.
Material: Ho7FeI12
Method: DFT, r2SCAN
State: relaxed

Cell: 15.4928 15.4928 10.7272 Å, 90.00 90.00 120.00°
Space group R-3 (No. 148, hexagonal axes)
Unique sites:
Ho1 0.0000 0.0000 0.0000 x3
Ho2 0.0425 0.1549 0.3672 x18
Fe1 0.0000 0.0000 0.5000 x3
I1 0.0185 0.5869 0.1595 x18
I2 0.0498 0.1774 0.8365 x18

Calculated values
E_tot: -1698.86 eV/cell
Formation energy from the elements: -130 kJ per mole of atoms



5.
Material: HoFeRu
Method: DFT, r2SCAN
State: relaxed

Cell: 5.152 5.383 7.349 Å, 90.00 90.00 90.00°
Space group Imma (No. 74)
Unique sites:
Ho1 0.000 0.250 0.126 x4
Fe1 0.250 0.250 0.750 x4
Ru1 0.000 0.000 0.500 x4

Calculated values
E_tot: -294.05 eV/cell
Formation energy from the elements: -26 kJ per mole of atoms



6.
Material: Ho2Fe3Si5
Method: DFT, r2SCAN
State: relaxed

Cell: 10.288 10.288 5.453 Å, 90.00 90.00 90.00°
Space group P4/mnc (No. 128)
Unique sites:
Ho1 0.069 0.237 0.000 x8
Fe1 0.000 0.500 0.250 x4
Fe2 0.124 0.854 0.500 x8
Si1 0.000 0.000 0.270 x4
Si2 0.021 0.321 0.500 x8
Si3 0.177 0.677 0.250 x8

Calculated values
E_tot: -634.11 eV/cell
Formation energy from the elements: -55 kJ per mole of atoms



Which formula does entry 3 have? HoFe5



E_tot of number 4 (Ho7FeI12)? -1698.86 eV/cell